Na6Sc8Si3S9O48: optimized geometry, PBE.

Computed properties:
Size of the total moment = 0.00 μB per formula unit
Uncorrected energy = -6.996 eV per atom
Calculated density = 2.55 g/cm3
Energy of formation = -2.718 eV per atom

Cell lengths 8.880, 15.541, 23.173 Å; angles 89.99, 89.93, 89.99 degrees
Space group P1 (No. 1)
Inequivalent atoms, fractional coordinates:
Na  0.000  0.000  0.000 (multiplicity 1)
Na  0.000  0.000  0.496 (multiplicity 1)
Na  0.000  0.678  0.830 (multiplicity 1)
Na  0.136  0.168  0.085 (multiplicity 1)
Na  0.136  0.509  0.746 (multiplicity 1)
Na  0.356  0.008  0.254 (multiplicity 1)
Na  0.357  0.669  0.582 (multiplicity 1)
Na  0.488  0.171  0.335 (multiplicity 1)
Na  0.491  0.500  0.498 (multiplicity 1)
Na  0.497  0.837  0.170 (multiplicity 1)
Na  0.501  0.501  0.001 (multiplicity 1)
Na  0.501  0.846  0.664 (multiplicity 1)
Na  0.505  0.170  0.828 (multiplicity 1)
Na  0.636  0.668  0.086 (multiplicity 1)
Na  0.851  0.167  0.582 (multiplicity 1)
Na  0.986  0.673  0.329 (multiplicity 1)
Na  0.991  0.344  0.169 (multiplicity 1)
Na  0.995  0.337  0.663 (multiplicity 1)
Sc  0.001  0.334  0.311 (multiplicity 1)
Sc  0.001  0.668  0.481 (multiplicity 1)
Sc  0.003  0.346  0.518 (multiplicity 1)
Sc  0.003  0.669  0.683 (multiplicity 1)
Sc  0.004  0.009  0.149 (multiplicity 1)
Sc  0.011  0.009  0.353 (multiplicity 1)
Sc  0.487  0.847  0.019 (multiplicity 1)
Sc  0.488  0.168  0.185 (multiplicity 1)
Sc  0.488  0.509  0.646 (multiplicity 1)
Sc  0.489  0.166  0.982 (multiplicity 1)
Sc  0.489  0.510  0.849 (multiplicity 1)
Sc  0.490  0.835  0.810 (multiplicity 1)
Sc  0.495  0.852  0.515 (multiplicity 1)
Sc  0.498  0.159  0.478 (multiplicity 1)
Sc  0.501  0.836  0.316 (multiplicity 1)
Sc  0.503  0.511  0.348 (multiplicity 1)
Sc  0.506  0.163  0.684 (multiplicity 1)
Sc  0.507  0.509  0.150 (multiplicity 1)
Sc  0.984  0.663  0.187 (multiplicity 1)
Sc  0.985  0.009  0.648 (multiplicity 1)
Sc  0.987  0.328  0.812 (multiplicity 1)
Sc  0.988  0.010  0.847 (multiplicity 1)
Sc  0.988  0.347  0.018 (multiplicity 1)
Sc  0.989  0.668  0.983 (multiplicity 1)
Si  0.140  0.154  0.248 (multiplicity 1)
Si  0.140  0.524  0.583 (multiplicity 1)
Si  0.348  0.024  0.083 (multiplicity 1)
Si  0.348  0.985  0.412 (multiplicity 1)
Si  0.349  0.654  0.748 (multiplicity 1)
Si  0.640  0.656  0.248 (multiplicity 1)
Si  0.643  0.022  0.582 (multiplicity 1)
Si  0.846  0.152  0.748 (multiplicity 1)
Si  0.847  0.524  0.082 (multiplicity 1)
S  0.140  0.818  0.581 (multiplicity 1)
S  0.140  0.858  0.249 (multiplicity 1)
S  0.142  0.192  0.917 (multiplicity 1)
S  0.142  0.485  0.914 (multiplicity 1)
S  0.201  0.839  0.915 (multiplicity 1)
S  0.204  0.172  0.582 (multiplicity 1)
S  0.205  0.505  0.249 (multiplicity 1)
S  0.285  0.005  0.749 (multiplicity 1)
S  0.286  0.672  0.081 (multiplicity 1)
S  0.289  0.340  0.415 (multiplicity 1)
S  0.349  0.691  0.417 (multiplicity 1)
S  0.351  0.318  0.081 (multiplicity 1)
S  0.351  0.360  0.750 (multiplicity 1)
S  0.639  0.318  0.581 (multiplicity 1)
S  0.641  0.359  0.249 (multiplicity 1)
S  0.642  0.693  0.916 (multiplicity 1)
S  0.642  0.984  0.915 (multiplicity 1)
S  0.700  0.339  0.915 (multiplicity 1)
S  0.705  0.672  0.582 (multiplicity 1)
S  0.706  0.005  0.248 (multiplicity 1)
S  0.786  0.172  0.081 (multiplicity 1)
S  0.786  0.505  0.750 (multiplicity 1)
S  0.791  0.837  0.416 (multiplicity 1)
S  0.849  0.195  0.416 (multiplicity 1)
S  0.849  0.484  0.415 (multiplicity 1)
S  0.850  0.859  0.750 (multiplicity 1)
S  0.851  0.818  0.081 (multiplicity 1)
O  0.065  0.250  0.255 (multiplicity 1)
O  0.065  0.429  0.575 (multiplicity 1)
O  0.071  0.112  0.188 (multiplicity 1)
O  0.071  0.567  0.642 (multiplicity 1)
O  0.072  0.897  0.300 (multiplicity 1)
O  0.073  0.778  0.530 (multiplicity 1)
O  0.076  0.105  0.910 (multiplicity 1)
O  0.076  0.572  0.921 (multiplicity 1)
O  0.077  0.771  0.241 (multiplicity 1)
O  0.079  0.232  0.970 (multiplicity 1)
O  0.079  0.445  0.861 (multiplicity 1)
O  0.079  0.905  0.589 (multiplicity 1)
O  0.097  0.247  0.575 (multiplicity 1)
O  0.104  0.429  0.256 (multiplicity 1)
O  0.106  0.916  0.909 (multiplicity 1)
O  0.107  0.760  0.921 (multiplicity 1)
O  0.109  0.094  0.587 (multiplicity 1)
O  0.110  0.246  0.865 (multiplicity 1)
O  0.110  0.431  0.966 (multiplicity 1)
O  0.111  0.763  0.633 (multiplicity 1)
O  0.112  0.589  0.528 (multiplicity 1)
O  0.112  0.913  0.197 (multiplicity 1)
O  0.114  0.089  0.301 (multiplicity 1)
O  0.114  0.584  0.244 (multiplicity 1)
O  0.163  0.018  0.086 (multiplicity 1)
O  0.164  0.659  0.744 (multiplicity 1)
O  0.164  0.993  0.411 (multiplicity 1)
O  0.181  0.684  0.421 (multiplicity 1)
O  0.182  0.321  0.073 (multiplicity 1)
O  0.182  0.357  0.757 (multiplicity 1)
O  0.191  0.015  0.802 (multiplicity 1)
O  0.192  0.328  0.363 (multiplicity 1)
O  0.192  0.352  0.467 (multiplicity 1)
O  0.192  0.663  0.029 (multiplicity 1)
O  0.194  0.990  0.697 (multiplicity 1)
O  0.196  0.687  0.133 (multiplicity 1)
O  0.294  0.188  0.634 (multiplicity 1)
O  0.297  0.163  0.530 (multiplicity 1)
O  0.297  0.490  0.197 (multiplicity 1)
O  0.297  0.850  0.967 (multiplicity 1)
O  0.298  0.827  0.863 (multiplicity 1)
O  0.300  0.514  0.301 (multiplicity 1)
O  0.307  0.854  0.254 (multiplicity 1)
O  0.308  0.819  0.576 (multiplicity 1)
O  0.309  0.185  0.921 (multiplicity 1)
O  0.309  0.492  0.910 (multiplicity 1)
O  0.325  0.160  0.242 (multiplicity 1)
O  0.325  0.519  0.587 (multiplicity 1)
O  0.376  0.264  0.132 (multiplicity 1)
O  0.376  0.414  0.698 (multiplicity 1)
O  0.377  0.085  0.745 (multiplicity 1)
O  0.377  0.088  0.028 (multiplicity 1)
O  0.377  0.588  0.803 (multiplicity 1)
O  0.380  0.744  0.365 (multiplicity 1)
O  0.380  0.926  0.469 (multiplicity 1)
O  0.382  0.593  0.086 (multiplicity 1)
O  0.383  0.419  0.409 (multiplicity 1)
O  0.385  0.263  0.422 (multiplicity 1)
O  0.387  0.929  0.757 (multiplicity 1)
O  0.393  0.746  0.074 (multiplicity 1)
O  0.411  0.272  0.743 (multiplicity 1)
O  0.412  0.405  0.088 (multiplicity 1)
O  0.412  0.728  0.470 (multiplicity 1)
O  0.414  0.603  0.410 (multiplicity 1)
O  0.417  0.941  0.354 (multiplicity 1)
O  0.418  0.278  0.029 (multiplicity 1)
O  0.418  0.399  0.802 (multiplicity 1)
O  0.420  0.069  0.140 (multiplicity 1)
O  0.420  0.609  0.690 (multiplicity 1)
O  0.423  0.081  0.419 (multiplicity 1)
O  0.424  0.929  0.075 (multiplicity 1)
O  0.425  0.748  0.756 (multiplicity 1)
O  0.562  0.750  0.255 (multiplicity 1)
O  0.569  0.927  0.578 (multiplicity 1)
O  0.570  0.069  0.639 (multiplicity 1)
O  0.572  0.280  0.529 (multiplicity 1)
O  0.572  0.611  0.189 (multiplicity 1)
O  0.573  0.399  0.301 (multiplicity 1)
O  0.575  0.072  0.922 (multiplicity 1)
O  0.575  0.605  0.909 (multiplicity 1)
O  0.577  0.272  0.242 (multiplicity 1)
O  0.577  0.944  0.863 (multiplicity 1)
O  0.579  0.731  0.969 (multiplicity 1)
O  0.580  0.406  0.589 (multiplicity 1)
O  0.599  0.745  0.576 (multiplicity 1)
O  0.602  0.930  0.252 (multiplicity 1)
O  0.606  0.261  0.922 (multiplicity 1)
O  0.606  0.417  0.909 (multiplicity 1)
O  0.607  0.592  0.303 (multiplicity 1)
O  0.609  0.084  0.243 (multiplicity 1)
O  0.609  0.747  0.865 (multiplicity 1)
O  0.611  0.591  0.587 (multiplicity 1)
O  0.611  0.932  0.967 (multiplicity 1)
O  0.613  0.411  0.197 (multiplicity 1)
O  0.614  0.265  0.633 (multiplicity 1)
O  0.621  0.088  0.527 (multiplicity 1)
O  0.663  0.518  0.086 (multiplicity 1)
O  0.664  0.165  0.745 (multiplicity 1)
O  0.682  0.492  0.411 (multiplicity 1)
O  0.682  0.821  0.073 (multiplicity 1)
O  0.683  0.190  0.420 (multiplicity 1)
O  0.683  0.852  0.757 (multiplicity 1)
O  0.692  0.163  0.029 (multiplicity 1)
O  0.692  0.515  0.801 (multiplicity 1)
O  0.696  0.187  0.133 (multiplicity 1)
O  0.696  0.490  0.697 (multiplicity 1)
O  0.696  0.848  0.468 (multiplicity 1)
O  0.697  0.822  0.364 (multiplicity 1)
O  0.796  0.327  0.864 (multiplicity 1)
O  0.797  0.350  0.967 (multiplicity 1)
O  0.797  0.685  0.634 (multiplicity 1)
O  0.798  0.015  0.301 (multiplicity 1)
O  0.798  0.993  0.196 (multiplicity 1)
O  0.799  0.661  0.530 (multiplicity 1)
O  0.807  0.353  0.256 (multiplicity 1)
O  0.809  0.322  0.575 (multiplicity 1)
O  0.809  0.685  0.920 (multiplicity 1)
O  0.809  0.992  0.910 (multiplicity 1)
O  0.824  0.664  0.244 (multiplicity 1)
O  0.828  0.017  0.588 (multiplicity 1)
O  0.875  0.587  0.026 (multiplicity 1)
O  0.876  0.764  0.133 (multiplicity 1)
O  0.878  0.911  0.697 (multiplicity 1)
O  0.879  0.432  0.467 (multiplicity 1)
O  0.881  0.093  0.086 (multiplicity 1)
O  0.881  0.584  0.745 (multiplicity 1)
O  0.883  0.092  0.804 (multiplicity 1)
O  0.883  0.915  0.409 (multiplicity 1)
O  0.884  0.248  0.365 (multiplicity 1)
O  0.888  0.759  0.422 (multiplicity 1)
O  0.893  0.246  0.074 (multiplicity 1)
O  0.893  0.431  0.756 (multiplicity 1)
O  0.911  0.905  0.088 (multiplicity 1)
O  0.913  0.234  0.469 (multiplicity 1)
O  0.914  0.107  0.410 (multiplicity 1)
O  0.914  0.444  0.363 (multiplicity 1)
O  0.914  0.772  0.743 (multiplicity 1)
O  0.916  0.572  0.422 (multiplicity 1)
O  0.918  0.778  0.029 (multiplicity 1)
O  0.918  0.898  0.802 (multiplicity 1)
O  0.921  0.111  0.690 (multiplicity 1)
O  0.923  0.429  0.074 (multiplicity 1)
O  0.923  0.570  0.137 (multiplicity 1)
O  0.926  0.248  0.755 (multiplicity 1)